This record from the Materials Project database describes an optimized crystal structure of HoSnRh2. The functional is GGA-PBE.

The structure in POSCAR format:
```
HoSnRh2
1.0
0.000 3.324 3.324
3.324 0.000 3.324
3.324 3.324 0.000
Ho Sn Rh
1 1 2
direct
0.000 0.000 0.000
0.500 0.500 0.500
0.250 0.250 0.250
0.750 0.750 0.750
```

Results
**Calculated formation energy**: -0.8101 eV/atom
**Space group**: Fm-3m

---

This record from the Materials Project database describes an optimized crystal structure of Ho2Sn5Rh3. The functional is GGA-PBE.

The structure in POSCAR format:
```
Ho2Sn5Rh3
1.0
2.196 -13.283 0.000
2.196 13.283 0.000
0.000 0.000 7.340
Ho Sn Rh
4 10 6
direct
0.024 0.976 0.500
0.327 0.673 0.481
0.673 0.327 0.981
0.976 0.024 0.000
0.096 0.904 0.122
0.205 0.795 0.686
0.209 0.791 0.258
0.381 0.619 0.005
0.452 0.548 0.338
0.548 0.452 0.838
0.619 0.381 0.505
0.791 0.209 0.758
0.795 0.205 0.186
0.904 0.096 0.622
0.106 0.894 0.754
0.277 0.723 0.971
0.450 0.550 0.717
0.550 0.450 0.217
0.723 0.277 0.471
0.894 0.106 0.254
```

Results
**Calculated formation energy**: -0.6921 eV/atom
**Space group**: Cmc2_1

---

This record from the Materials Project database describes an optimized crystal structure of TbHoRh2. The functional is GGA-PBE.

The structure in POSCAR format:
```
TbHoRh2
1.0
0.000 3.430 3.430
3.430 0.000 3.430
3.430 3.430 0.000
Tb Ho Rh
1 1 2
direct
0.000 0.000 0.000
0.500 0.500 0.500
0.250 0.250 0.250
0.750 0.750 0.750
```

Results
**Calculated formation energy**: -0.8747 eV/atom
**Space group**: Fm-3m

---

This record from the Materials Project database describes an optimized crystal structure of HoTmRh2. The functional is GGA-PBE.

The structure in POSCAR format:
```
HoTmRh2
1.0
0.000 3.398 3.398
3.398 0.000 3.398
3.398 3.398 0.000
Ho Tm Rh
1 1 2
direct
0.000 0.000 0.000
0.500 0.500 0.500
0.250 0.250 0.250
0.750 0.750 0.750
```

Results
**Calculated formation energy**: -0.9385 eV/atom
**Space group**: Fm-3m